Entry 1:
Na2Nd2B2O7 | PBE | optimized geometry

Lattice parameters (Å, degrees): 10.914 6.492 10.579 90.00 117.78 90.00
Space group P2_1/c (No. 14)
One atom of each set of equivalent atoms:
Na (0.023, 0.057, 0.262) x4
Na (0.109, 0.737, 0.046) x4
Nd (0.313, 0.082, 0.910) x4
Nd (0.481, 0.540, 0.180) x4
B (0.181, 0.249, 0.579) x4
B (0.289, 0.653, 0.850) x4
O (0.101, 0.165, 0.946) x4
O (0.126, 0.150, 0.657) x4
O (0.183, 0.741, 0.864) x4
O (0.326, 0.238, 0.133) x4
O (0.346, 0.744, 0.273) x4
O (0.347, 0.036, 0.411) x4
O (0.473, 0.623, 0.597) x4

***

Entry 2:
CeSe2 | PBE | optimized geometry

Lattice parameters (Å, degrees): 15.395 15.395 34.694 90.00 90.00 90.00
Space group I4_1/amd (No. 141, origin choice 2)
One atom of each set of equivalent atoms:
Ce (0.169, 0.077, 0.067) x32
Se (0.000, 0.037, 0.082) x16
Se (0.000, 0.059, 0.692) x16
Se (0.221, 0.000, 0.000) x16
Se (0.229, 0.021, 0.375) x16

***

Entry 3:
Ti2Mo15Se20 | PBE | optimized geometry

Lattice parameters (Å, degrees): 8.912 12.191 15.272 100.94 103.49 92.94
Space group P-1 (No. 2)
One atom of each set of equivalent atoms:
Ti (0.055, 0.379, 0.188) x2
Ti (0.346, 0.219, 0.610) x2
Mo (0.005, 0.261, 0.654) x2
Mo (0.024, 0.897, 0.084) x2
Mo (0.065, 0.892, 0.906) x2
Mo (0.130, 0.903, 0.492) x2
Mo (0.175, 0.904, 0.321) x2
Mo (0.190, 0.538, 0.744) x2
Mo (0.209, 0.057, 0.051) x2
Mo (0.220, 0.697, 0.481) x2
Mo (0.277, 0.697, 0.310) x2
Mo (0.322, 0.705, 0.891) x2
Mo (0.382, 0.704, 0.721) x2
Mo (0.396, 0.339, 0.145) x2
Mo (0.408, 0.863, 0.457) x2
Mo (0.425, 0.497, 0.881) x2
Mo (0.469, 0.494, 0.708) x2
Se (0.046, 0.738, 0.187) x2
Se (0.055, 0.258, 0.493) x2
Se (0.093, 0.059, 0.643) x2
Se (0.098, 0.539, 0.339) x2
Se (0.109, 0.259, 0.051) x2
Se (0.110, 0.750, 0.752) x2
Se (0.151, 0.535, 0.910) x2
Se (0.162, 0.061, 0.215) x2
Se (0.240, 0.056, 0.889) x2
Se (0.242, 0.538, 0.585) x2
Se (0.281, 0.853, 0.041) x2
Se (0.293, 0.340, 0.747) x2
Se (0.302, 0.062, 0.460) x2
Se (0.308, 0.542, 0.158) x2
Se (0.347, 0.344, 0.306) x2
Se (0.358, 0.862, 0.617) x2
Se (0.447, 0.336, 0.985) x2
Se (0.448, 0.866, 0.290) x2
Se (0.489, 0.651, 0.448) x2
Se (0.499, 0.860, 0.864) x2

***

Number 1: formation enthalpy at 0 K -3112 meV/atom, M_tot 0.002 μB per cell. Number 2: formation enthalpy at 0 K -1395 meV/atom, M_tot 0.045 μB per cell. Number 3: formation enthalpy at 0 K -854 meV/atom, M_tot 0.037 μB per cell.